The following is a PBE with a Hubbard U calculation of a relaxed structure of K5Na3Nb7WO20, from Materials Project.

The structure in POSCAR format:
```
K5Na3Nb7WO20
1.0
11.582 0.000 0.000
-0.020 11.762 0.000
-5.777 -5.828 15.707
K Na Nb W O
20 12 28 4 80
Cartesian
0.000 0.000 0.000
-0.040 5.790 0.111
-2.884 -3.141 11.404
-2.878 2.814 11.484
-0.026 5.622 3.771
-0.020 5.703 7.806
2.826 2.645 0.195
2.893 8.625 0.077
-0.078 5.958 11.367
0.082 0.056 11.388
2.874 3.047 7.770
5.723 0.039 0.221
2.956 -2.837 7.864
2.870 -3.021 11.541
2.958 2.772 11.347
8.619 2.810 0.047
5.767 5.651 7.981
5.816 -0.057 11.503
5.791 5.884 11.573
8.626 2.957 7.828
-2.841 -2.844 8.098
-0.028 -0.323 3.404
0.053 -0.294 8.098
2.881 8.910 3.435
2.889 3.008 3.551
5.781 5.941 0.378
5.775 5.546 3.488
5.847 -0.408 3.493
8.659 8.504 0.395
5.863 -0.274 8.085
8.618 2.967 3.568
8.757 8.996 3.504
-0.089 2.830 1.916
-0.075 8.712 1.889
-2.881 -0.069 9.660
-0.005 2.100 5.741
0.163 8.459 5.719
-2.699 5.442 13.646
-2.500 -0.562 13.696
2.835 5.763 1.913
2.839 -0.116 1.953
-0.211 -2.378 13.705
3.239 6.439 5.687
0.388 3.393 13.685
3.379 0.390 5.700
5.707 2.836 1.935
2.861 5.854 9.652
5.737 8.683 1.925
2.927 -0.042 9.630
2.692 5.186 13.689
5.799 2.192 5.697
2.954 -0.323 13.665
6.166 8.120 5.723
8.635 -0.100 1.883
8.610 5.766 1.934
5.793 -3.040 9.669
8.538 6.465 5.762
5.788 3.127 13.654
6.033 -2.683 13.652
9.141 0.341 5.713
-2.931 5.808 9.629
-0.005 -2.981 9.665
-0.002 2.879 9.634
5.775 2.848 9.641
-4.115 4.083 13.696
-1.097 6.995 5.743
-0.294 3.006 4.119
-0.205 9.114 3.955
-3.701 -2.165 13.676
-2.840 5.883 11.791
-2.802 -0.035 11.843
-0.430 0.141 5.739
-1.544 7.289 9.402
-1.486 -1.448 9.643
1.388 10.166 1.872
1.396 4.265 1.929
-1.427 1.392 9.617
-1.448 4.327 9.674
1.387 1.298 2.111
1.400 7.251 2.048
-0.113 2.962 7.419
-2.978 0.050 15.482
0.084 -2.677 7.501
-2.897 5.861 15.593
1.962 1.805 5.537
2.080 8.031 5.512
-0.175 -3.075 11.921
-0.797 5.019 13.692
2.885 5.614 3.993
2.957 -0.484 4.054
0.122 2.831 11.866
-0.546 -0.383 13.876
1.454 1.409 9.513
4.280 4.334 1.844
1.437 4.364 9.648
4.322 10.152 1.883
4.272 1.369 2.093
1.489 7.250 9.620
4.317 7.239 1.976
1.525 -1.441 9.699
-0.166 -3.115 15.495
-0.019 2.728 15.462
2.977 -0.149 7.476
2.967 5.899 7.539
1.683 -1.768 13.673
5.561 3.157 4.071
2.662 5.941 11.938
5.761 8.868 3.981
2.933 0.079 11.737
5.192 6.336 5.575
2.356 3.184 13.856
5.382 0.221 5.730
7.136 4.329 1.842
4.321 1.308 9.536
4.245 4.437 9.758
4.315 7.313 9.705
7.165 7.241 1.982
7.218 10.173 1.848
7.165 1.383 2.088
4.404 -1.530 9.647
2.646 -5.698 15.386
5.684 2.981 7.395
5.770 8.704 7.501
2.888 0.144 15.571
4.531 -1.402 13.690
4.587 4.614 13.693
7.763 1.793 5.518
8.423 5.528 4.102
5.769 2.638 11.805
5.841 -2.996 11.722
8.825 -0.370 3.944
8.164 8.464 5.741
10.052 10.163 1.683
10.032 4.284 1.902
7.187 7.309 9.599
10.063 1.351 1.947
10.029 7.266 2.081
7.275 -1.535 9.632
7.283 1.294 9.574
7.247 4.372 9.792
8.472 5.627 7.435
5.776 2.635 15.548
8.757 -0.145 7.516
5.810 -3.043 15.601
```

Properties
DFT formation energy in eV per atom: -2.46
SG: No. 1


The following is a PBE with a Hubbard U calculation of a relaxed structure of KNa2NiO2, from Materials Project.

The structure in POSCAR format:
```
KNa2NiO2
1.0
-5.844 0.748 -2.174
-6.448 2.510 9.127
0.496 6.229 0.812
K Na O Ni
4 8 8 4
Cartesian
-1.293 4.806 0.595
-6.102 4.691 4.411
-8.776 8.179 3.730
-4.462 2.065 -0.899
-5.562 2.740 6.825
-8.237 6.228 6.144
-6.349 6.717 1.240
-6.597 3.603 0.834
-8.484 3.113 5.738
-3.428 6.343 2.327
-5.315 5.855 7.231
-3.675 3.229 1.921
-2.309 4.543 3.236
-4.629 5.073 0.583
-5.479 1.802 1.742
-9.437 4.957 4.399
-6.268 7.698 5.893
-1.954 1.584 1.263
-9.792 7.916 6.371
-7.118 4.427 7.053
-7.760 4.261 8.720
-6.121 1.635 3.410
-10.434 7.749 8.039
-2.951 4.376 4.904
```

Properties
DFT formation energy in eV per atom: -1.18


The following is a PBE with a Hubbard U calculation of a relaxed structure of KNa2NiO2, from Materials Project.

The structure in POSCAR format:
```
KNa2NiO2
1.0
5.300 -3.137 0.000
5.300 3.137 0.000
-0.072 0.000 12.451
K Na Ni O
4 8 4 8
Cartesian
1.969 0.000 1.593
3.268 0.000 7.855
7.261 0.000 4.596
8.560 0.000 10.857
4.991 1.575 3.123
5.265 1.696 6.225
5.300 1.429 0.000
5.538 1.575 9.327
4.991 -1.575 3.123
5.300 -1.429 0.000
5.265 -1.696 6.225
5.538 -1.575 9.327
2.571 0.000 10.910
2.645 0.000 4.685
7.884 0.000 7.766
7.958 0.000 1.541
0.779 0.000 11.037
0.848 0.000 4.531
4.365 0.000 10.741
4.435 0.000 4.790
6.094 0.000 7.661
6.164 0.000 1.710
9.681 0.000 7.920
9.750 0.000 1.414
```

Properties
DFT formation energy in eV per atom: -1.19
SG: No. 12


The following is a PBE with a Hubbard U calculation of a relaxed structure of KNa2Ni2O4, from Materials Project.

The structure in POSCAR format:
```
KNa2Ni2O4
1.0
5.821 0.000 0.000
0.000 11.167 0.000
-3.736 0.000 8.276
K Na Ni O
4 8 8 16
Cartesian
-0.717 1.250 3.751
-2.585 4.334 7.889
4.670 6.833 0.387
2.802 9.918 4.525
-0.770 7.848 3.100
-2.639 8.903 7.238
-2.692 0.887 7.375
-0.824 4.696 3.237
2.909 6.471 5.038
4.777 10.280 0.901
4.723 2.264 1.038
2.855 3.320 5.176
0.044 6.503 5.762
1.912 10.248 1.624
1.977 7.447 1.990
0.109 9.304 6.128
1.976 1.864 2.148
0.108 3.720 6.286
0.173 0.919 6.652
2.041 4.665 2.514
-1.148 8.050 5.466
0.720 8.701 1.328
0.717 0.625 1.478
-1.152 4.958 5.615
0.744 6.118 2.077
-1.124 10.633 6.214
-1.133 2.396 6.365
0.735 3.188 2.227
1.350 7.980 6.049
3.218 8.771 1.911
3.209 0.535 2.061
1.341 5.049 6.199
3.236 6.209 2.660
1.368 10.542 6.798
1.365 2.466 6.948
3.233 3.117 2.810
```

Properties
DFT formation energy in eV per atom: -1.31
SG: No. 14


The following is a PBE with a Hubbard U calculation of a relaxed structure of KNaSi5SnW3O13, from Materials Project.

The structure in POSCAR format:
```
KNaSi5SnW3O13
1.0
5.337 -8.177 0.000
5.337 8.177 0.000
-2.535 0.000 9.001
K Na Si Sn W O
2 2 10 2 6 26
Cartesian
0.117 0.000 3.454
8.022 0.000 5.547
4.069 2.065 4.501
4.069 -2.065 4.501
4.052 4.691 2.448
1.138 1.630 6.704
4.086 4.691 6.553
5.337 3.091 0.000
1.138 -1.630 6.704
7.000 1.630 2.297
5.337 -3.091 0.000
4.052 -4.691 2.448
7.000 -1.630 2.297
4.086 -4.691 6.553
1.401 4.089 4.501
1.401 -4.089 4.501
1.342 1.514 0.683
1.342 -1.514 0.683
3.673 0.000 2.047
4.465 0.000 6.954
6.797 1.514 8.318
6.797 -1.514 8.318
-0.464 2.033 6.778
2.703 5.070 5.791
3.009 3.695 3.204
1.845 2.248 5.385
4.378 4.045 0.934
1.853 2.125 8.097
-0.464 -2.033 6.778
1.136 0.000 6.595
5.435 5.070 3.210
3.760 4.045 8.067
5.129 3.695 5.797
1.845 -2.248 5.385
6.285 2.125 0.904
1.853 -2.125 8.097
6.294 2.248 3.616
3.009 -3.695 3.204
4.378 -4.045 0.934
2.703 -5.070 5.791
7.003 0.000 2.407
8.603 2.033 2.223
6.285 -2.125 0.904
3.760 -4.045 8.067
6.294 -2.248 3.616
5.129 -3.695 5.797
5.435 -5.070 3.210
8.603 -2.033 2.223
```

Properties
DFT formation energy in eV per atom: -1.84
SG: No. 12


The following is a PBE with a Hubbard U calculation of a relaxed structure of K4NaV10O38, from Materials Project.

The structure in POSCAR format:
```
K4NaV10O38
1.0
10.454 0.000 0.000
0.000 10.853 0.000
-9.475 0.000 13.606
K Na V O
8 2 20 76
Cartesian
-0.287 2.324 3.592
-5.024 8.529 10.396
-2.267 2.442 7.169
2.471 8.411 0.366
-1.491 2.442 13.241
3.246 8.411 6.438
6.004 2.324 3.211
1.267 8.529 10.014
-1.879 0.078 10.205
2.859 10.775 3.402
-8.387 3.020 13.468
-3.649 7.833 6.664
-6.959 5.248 11.766
-2.222 5.605 4.963
-6.987 0.701 11.832
-2.249 10.152 5.029
-5.469 3.032 10.068
-0.732 7.821 3.265
-5.263 3.007 13.206
-0.525 7.846 6.403
1.505 3.007 7.203
6.242 7.846 0.400
1.711 3.032 10.341
6.449 7.821 3.538
3.229 0.701 8.577
7.966 10.152 1.774
3.201 5.248 8.643
7.939 5.605 1.840
4.629 3.020 6.942
9.366 7.833 0.139
-0.005 3.014 1.068
-4.742 7.839 7.871
-8.213 1.126 13.078
-3.476 9.727 6.275
-8.173 4.822 13.057
-3.436 6.031 6.254
-6.982 2.975 11.513
-2.244 7.878 4.710
-5.946 1.111 10.094
-1.208 9.742 3.291
-5.861 4.870 10.091
-1.123 5.983 3.288
-2.245 0.941 4.939
-6.982 9.912 11.742
-2.192 3.967 4.897
-6.930 6.886 11.700
-4.599 2.968 8.560
0.139 7.885 1.757
1.154 0.250 1.880
-3.584 10.602 8.683
2.735 2.954 0.691
-2.003 7.899 7.495
-5.530 4.803 12.816
-0.792 6.050 6.013
-5.505 1.116 12.815
-0.767 9.737 6.012
-4.333 2.965 11.381
0.405 7.888 4.578
1.853 5.221 3.220
-2.885 5.632 10.024
0.242 2.978 6.173
-4.495 7.875 12.976
-1.696 5.397 9.197
3.042 5.456 2.394
-0.592 0.324 8.120
4.145 10.529 1.316
2.859 2.242 3.402
-1.879 2.396 10.205
2.859 8.457 3.402
-1.879 8.611 10.205
-3.166 0.324 12.290
1.572 10.529 5.487
-2.062 5.397 11.212
2.675 5.456 4.409
5.475 2.978 0.630
0.737 7.875 7.433
3.864 5.221 3.583
-0.873 5.632 10.386
0.575 2.965 9.028
5.312 7.888 2.225
1.747 1.116 7.594
6.484 9.737 0.791
1.772 4.803 7.593
6.509 6.050 0.790
2.982 2.954 6.112
-1.755 7.899 12.915
4.563 0.250 4.923
-0.174 10.602 11.726
0.841 2.968 11.849
5.578 7.885 5.046
7.910 3.967 1.906
3.172 6.886 8.709
7.962 0.941 1.864
3.224 9.912 8.667
2.103 4.870 10.318
6.840 5.983 3.515
2.188 1.111 10.315
6.925 9.742 3.512
3.224 2.975 8.896
7.961 7.878 2.093
4.415 4.822 7.353
9.153 6.031 0.549
4.455 1.126 7.332
9.193 9.727 0.528
5.722 3.014 5.735
0.984 7.839 12.538
```

Properties
DFT formation energy in eV per atom: -1.12
SG: No. 13


The following is a PBE with a Hubbard U calculation of a relaxed structure of KNaV4O12, from Materials Project.

The structure in POSCAR format:
```
KNaV4O12
1.0
5.335 0.000 0.000
0.000 5.335 0.000
0.000 0.000 7.531
K Na V O
1 1 4 12
Cartesian
0.000 0.000 0.000
2.668 2.668 3.766
0.000 2.668 1.893
0.000 2.668 5.638
2.668 0.000 1.893
2.668 0.000 5.638
0.000 2.668 0.000
0.000 2.668 3.766
1.345 1.345 1.917
1.345 1.345 5.615
1.345 3.990 1.917
1.345 3.990 5.615
2.668 0.000 0.000
2.668 0.000 3.766
3.990 1.345 1.917
3.990 1.345 5.615
3.990 3.990 1.917
3.990 3.990 5.615
```

Properties
DFT formation energy in eV per atom: -2.03
SG: No. 123


Please write out number 7 again, unchanged.
The following is a PBE with a Hubbard U calculation of a relaxed structure of KNaV4O12, from Materials Project.

The structure in POSCAR format:
```
KNaV4O12
1.0
5.335 0.000 0.000
0.000 5.335 0.000
0.000 0.000 7.531
K Na V O
1 1 4 12
Cartesian
0.000 0.000 0.000
2.668 2.668 3.766
0.000 2.668 1.893
0.000 2.668 5.638
2.668 0.000 1.893
2.668 0.000 5.638
0.000 2.668 0.000
0.000 2.668 3.766
1.345 1.345 1.917
1.345 1.345 5.615
1.345 3.990 1.917
1.345 3.990 5.615
2.668 0.000 0.000
2.668 0.000 3.766
3.990 1.345 1.917
3.990 1.345 5.615
3.990 3.990 1.917
3.990 3.990 5.615
```

Properties
DFT formation energy in eV per atom: -2.03
SG: No. 123